# 1
DFT (PBE) results for ZnTe after structural relaxation.

Cell: 4.3726 4.3726 10.7050 Å, 90.00 90.00 120.00°
Positions (direct):
Zn1 0.0273 0.3546 0.0000
Zn2 0.3273 0.9727 0.6667
Zn3 0.6454 0.6727 0.3333
Te1 0.3137 0.0041 0.4170
Te2 0.6904 0.6863 0.0837
Te3 0.9959 0.3096 0.7503

V   177.3 Å³/cell
Largest piezoelectric modulus   0.18 C/m²
Symmetry   P3_1, No. 144
Final energy   -2.671 eV/atom

---

# 2
DFT (PBE) results for BaRhO3 after structural relaxation.

Cell: 4.0945 4.0945 4.0945 Å, 90.00 90.00 90.00°
Positions (direct):
Ba1 0.0000 0.0000 0.0000
Rh1 0.5000 0.5000 0.5000
O1 0.0000 0.5000 0.5000
O2 0.5000 0.0000 0.5000
O3 0.5000 0.5000 0.0000

V   68.6 Å³/cell
Symmetry   Pm-3m, No. 221
Final energy   -6.328 eV/atom

---

# 3
DFT (PBE) results for BiRu3C9O9 after structural relaxation.

Cell: 8.2916 9.3465 12.6866 Å, 87.90 71.70 68.87°
Positions (direct):
Bi1 0.0079 0.2141 0.0970
Bi2 0.9921 0.7859 0.9030
Ru1 0.0097 0.5452 0.7675
Ru2 0.2012 0.1187 0.2482
Ru3 0.2105 0.7592 0.6796
Ru4 0.7895 0.2408 0.3204
Ru5 0.7988 0.8813 0.7518
Ru6 0.9903 0.4548 0.2325
C1 0.0047 0.4222 0.6501
C2 0.1785 0.4826 0.1160
C3 0.2000 0.3994 0.8078
C4 0.2231 0.9495 0.7069
C5 0.2327 0.9147 0.2147
C6 0.2847 0.0941 0.3761
C7 0.3266 0.7273 0.5195
C8 0.4139 0.6417 0.7210
C9 0.4171 0.1131 0.1401
C10 0.5829 0.8869 0.8599
C11 0.5861 0.3583 0.2790
C12 0.6734 0.2727 0.4805
C13 0.7153 0.9059 0.6239
C14 0.7673 0.0853 0.7853
C15 0.7769 0.0505 0.2931
C16 0.8000 0.6006 0.1922
C17 0.8215 0.5174 0.8840
C18 0.9953 0.5778 0.3499
O1 0.0044 0.6541 0.4165
O2 0.2368 0.0655 0.7236
O3 0.2549 0.7877 0.1930
O4 0.2926 0.5035 0.0433
O5 0.3141 0.3080 0.8357
O6 0.3467 0.0759 0.4482
O7 0.4078 0.7099 0.4247
O8 0.4452 0.8939 0.9262
O9 0.4576 0.4289 0.2543
O10 0.5424 0.5711 0.7457
O11 0.5548 0.1061 0.0738
O12 0.5922 0.2901 0.5753
O13 0.6533 0.9241 0.5518
O14 0.6859 0.6920 0.1643
O15 0.7074 0.4965 0.9567
O16 0.7451 0.2123 0.8070
O17 0.7632 0.9345 0.2764
O18 0.9956 0.3459 0.5835

V   867.5 Å³/cell
Symmetry   P-1, No. 2
Final energy   -7.713 eV/atom

---

# 4
DFT (PBE) results for FeNiSe4 after structural relaxation.

Cell: 5.8524 5.8756 5.8464 Å, 90.00 90.24 90.00°
Positions (direct):
Fe1 0.0000 0.0000 0.0000
Fe2 0.0000 0.5000 0.5000
Ni1 0.5000 0.0000 0.5000
Ni2 0.5000 0.5000 0.0000
Se1 0.1171 0.1286 0.6294
Se2 0.1171 0.3714 0.1294
Se3 0.3695 0.6202 0.6172
Se4 0.3695 0.8798 0.1172
Se5 0.6305 0.1202 0.8828
Se6 0.6305 0.3798 0.3828
Se7 0.8829 0.6286 0.8706
Se8 0.8829 0.8714 0.3706

V   201.0 Å³/cell
Symmetry   P2_1/c, No. 14
Final energy   -4.970 eV/atom

---

# 5
DFT (PBE) results for Sr2ZrNbO6 after structural relaxation.

Cell: 5.8584 5.8584 5.8584 Å, 60.00 60.00 60.00°
Positions (direct):
Sr1 0.2500 0.2500 0.2500
Sr2 0.7500 0.7500 0.7500
Zr1 0.0000 0.0000 0.0000
Nb1 0.5000 0.5000 0.5000
O1 0.2542 0.2542 0.7458
O2 0.2542 0.7458 0.2542
O3 0.2542 0.7458 0.7458
O4 0.7458 0.2542 0.2542
O5 0.7458 0.2542 0.7458
O6 0.7458 0.7458 0.2542

V   142.2 Å³/cell
Symmetry   Fm-3m, No. 225
Final energy   -8.131 eV/atom

---

# 6
DFT (PBE) results for CaIrO3 after structural relaxation.

Cell: 5.1888 5.1888 7.3836 Å, 90.00 90.00 143.90°
Positions (direct):
Ca1 0.2496 0.7504 0.7500
Ca2 0.7504 0.2496 0.2500
Ir1 0.0000 0.0000 0.0000
Ir2 0.0000 0.0000 0.5000
O1 0.0783 0.9217 0.2500
O2 0.3746 0.6254 0.0497
O3 0.3746 0.6254 0.4503
O4 0.6254 0.3746 0.5497
O5 0.6254 0.3746 0.9503
O6 0.9217 0.0783 0.7500

V   117.1 Å³/cell
Symmetry   Cmcm, No. 63
Final energy   -6.827 eV/atom

---

# 7
DFT (PBE) results for DyCu after structural relaxation.

Cell: 3.4647 3.4647 3.4647 Å, 90.00 90.00 90.00°
Positions (direct):
Dy1 0.0000 0.0000 0.0000
Cu1 0.5000 0.5000 0.5000

V   41.6 Å³/cell
Symmetry   Pm-3m, No. 221
Final energy   -4.601 eV/atom

---

# 8
DFT (PBE) results for Si after structural relaxation.

Cell: 8.7482 8.7482 8.7482 Å, 109.47 109.47 109.47°
Positions (direct):
Si1 0.0000 0.0000 0.0000
Si2 0.0000 0.0000 0.2713
Si3 0.0000 0.2713 0.0000
Si4 0.0000 0.2724 0.4415
Si5 0.0000 0.4415 0.2724
Si6 0.1691 0.7276 0.7276
Si7 0.2500 0.5000 0.7500
Si8 0.2500 0.7500 0.5000
Si9 0.2713 0.0000 0.0000
Si10 0.2724 0.0000 0.4415
Si11 0.2724 0.4415 0.0000
Si12 0.4415 0.0000 0.2724
Si13 0.4415 0.2724 0.0000
Si14 0.5000 0.2500 0.7500
Si15 0.5000 0.7500 0.2500
Si16 0.5585 0.5585 0.8309
Si17 0.5585 0.8309 0.5585
Si18 0.7276 0.1691 0.7276
Si19 0.7276 0.7276 0.1691
Si20 0.7287 0.7287 0.7287
Si21 0.7500 0.2500 0.5000
Si22 0.7500 0.5000 0.2500
Si23 0.8309 0.5585 0.5585

V   515.4 Å³/cell
Largest piezoelectric modulus   0.00 C/m²
Symmetry   I-43m, No. 217
Final energy   -5.344 eV/atom